(1)
This record from the Materials Project describes a relaxed Lu3Si crystal. The functional is GGA-PBE.

Structure (extended XYZ):
```
4
Lattice="4.5414 0.0000 0.0000 0.0000 4.5414 0.0000 0.0000 0.0000 4.5414" Properties=species:S:1:pos:R:3 pbc="T T T"
Lu 0.0000 2.2707 2.2707
Lu 2.2707 0.0000 2.2707
Lu 2.2707 2.2707 0.0000
Si 0.0000 0.0000 0.0000
```

Summary:
ρ   9.80 g/cm³
Raw total energy   -4.989 eV/atom
ΔE_f   -0.2243 eV/atom
Energy above the lowest structure with this stoichiometry   0.000 eV per atom

(2)
This record from the Materials Project describes a relaxed Tb2Si5Ni3 crystal. The functional is GGA-PBE.

Structure (extended XYZ):
```
20
Lattice="-2.8302 4.7904 5.5828 2.8302 -4.7904 5.5828 2.8302 4.7904 -5.5828" Properties=species:S:1:pos:R:3 pbc="T T T"
Si 1.4151 4.7904 -2.6060
Si 1.4151 0.0000 8.1888
Si 0.0000 6.2492 1.1994
Si 4.2454 0.0000 0.0000
Si 1.4151 4.7904 2.6060
Si 1.4151 0.0000 0.0000
Si 2.8302 -1.4588 4.3834
Si 0.0000 1.4588 4.3834
Si 1.4151 0.0000 2.9767
Si 2.8302 3.3315 1.1994
Tb 2.8302 2.5218 4.1181
Tb 0.0000 2.2686 1.4647
Tb 0.0000 2.5218 7.0475
Tb 2.8302 2.2686 -1.4647
Ni 1.4151 4.7904 0.0000
Ni 0.0000 3.7199 4.0839
Ni 2.8302 1.0705 1.4988
Ni 0.0000 1.0705 9.6667
Ni 1.4151 0.0000 5.5828
Ni 2.8302 3.7199 -4.0839
```

Summary:
ρ   6.96 g/cm³
Raw total energy   -6.169 eV/atom
ΔE_f   -0.7959 eV/atom

(3)
This record from the Materials Project describes a relaxed BaEu3 crystal. The functional is GGA-PBE.

Structure (extended XYZ):
```
4
Lattice="5.9291 0.0000 0.0000 0.0000 5.9291 0.0000 0.0000 0.0000 5.9291" Properties=species:S:1:pos:R:3 pbc="T T T"
Eu 2.9645 0.0000 2.9645
Eu 0.0000 2.9645 2.9645
Eu 2.9645 2.9645 0.0000
Ba 0.0000 0.0000 0.0000
```

Summary:
ρ   4.73 g/cm³
Raw total energy   -8.117 eV/atom
ΔE_f   0.0553 eV/atom

(4)
This record from the Materials Project describes a relaxed Na5Ca2Ce3Ti8Nb2O30 crystal. The functional is GGA-PBE.

Structure (extended XYZ):
```
50
Lattice="3.9463 0.0000 -0.0001 0.0000 3.9460 -0.0010 -0.0012 -0.0088 39.0987" Properties=species:S:1:pos:R:3 pbc="T T T"
O 1.9726 1.9686 19.5369
O 3.9460 1.9708 9.9730
O 1.9729 3.9433 9.9726
O 1.9722 3.9393 29.3781
O 1.9732 1.9732 0.1012
O 1.9720 -0.0083 37.1631
O 1.9726 -0.0026 13.4702
O 3.9460 1.9710 5.6603
O 3.9457 1.9688 17.7819
O 3.9452 1.9647 37.1627
O 1.9725 -0.0043 21.2688
O 3.9454 1.9661 29.3784
O 1.9729 1.9712 7.8214
O 1.9728 -0.0011 5.6622
O 3.9462 1.9734 2.1967
O 1.9724 3.9401 25.5378
O 1.9726 3.9416 17.7814
O 1.9721 1.9651 35.1838
O 1.9728 1.9722 3.9396
O 1.9722 1.9660 31.2284
O 1.9728 1.9703 11.7268
O 1.9721 -0.0074 33.1311
O 1.9723 1.9670 27.3787
O 1.9731 3.9455 2.1949
O -0.0006 1.9686 21.2684
O 1.9724 1.9677 23.4260
O -0.0004 1.9699 13.4697
O 1.9727 1.9695 15.6283
O -0.0008 1.9671 25.5383
O -0.0010 1.9655 33.1307
Ce 3.9457 3.9415 19.5723
Ce 3.9459 3.9433 11.7387
Ce 0.0002 3.9451 3.9240
Na -0.0005 -0.0034 15.6661
Na -0.0002 -0.0016 7.8295
Na -0.0007 3.9407 23.5715
Na -0.0010 -0.0078 35.2476
Na 3.9463 3.9459 0.0115
Ti 1.9731 1.9714 5.9136
Ti 1.9722 1.9664 29.2373
Ti 1.9723 1.9670 25.3854
Ti 1.9726 1.9688 17.5825
Ti 1.9725 1.9683 21.5626
Ti 1.9732 1.9727 1.9822
Ti 1.9727 1.9698 13.7367
Ti 1.9729 1.9709 9.7546
Nb 1.9721 1.9656 33.1939
Nb 1.9720 1.9647 37.1877
Ca -0.0008 -0.0058 27.1392
Ca 3.9453 -0.0068 31.0139
```

Summary:
ρ   4.54 g/cm³
Raw total energy   -8.081 eV/atom
ΔE_f   -3.2887 eV/atom

(5)
This record from the Materials Project describes a relaxed HfAg crystal. The functional is GGA-PBE.

Structure (extended XYZ):
```
4
Lattice="3.4452 0.0000 0.0000 0.0000 3.4452 0.0000 0.0000 0.0000 6.6576" Properties=species:S:1:pos:R:3 pbc="T T T"
Ag 1.7226 0.0000 4.1081
Ag 0.0000 1.7226 2.5495
Hf 0.0000 1.7226 5.7253
Hf 1.7226 0.0000 0.9323
```

Summary:
ρ   12.04 g/cm³
Raw total energy   -6.510 eV/atom
ΔE_f   -0.1151 eV/atom

(6)
This record from the Materials Project describes a relaxed UP2H6CO10 crystal. The functional is GGA-PBE.

Structure (extended XYZ):
```
80
Lattice="8.1611 0.0000 0.0000 0.0000 10.7625 0.0000 0.0000 0.0000 10.9699" Properties=species:S:1:pos:R:3 pbc="T T T"
O 5.7138 0.3081 2.7766
O 3.2931 7.9329 7.2119
O 5.3524 2.4148 7.6899
O 2.4474 5.6893 8.1933
O 6.0558 8.1548 8.1581
O 2.8087 7.7961 3.2800
O 5.1041 7.9063 5.1827
O 1.2719 7.7961 8.7649
O 4.2099 4.7087 1.9051
O 4.9594 5.0928 8.1355
O 6.8893 2.4148 2.2050
O 7.2823 5.0928 2.6506
O 7.3737 2.5516 9.2430
O 7.1376 7.9063 10.6676
O 6.5279 0.3081 8.2615
O 4.8680 2.5516 3.7580
O 7.0245 5.4344 5.2540
O 5.2172 5.4344 10.7389
O 1.9752 2.7735 8.2968
O 0.8788 10.4740 8.3193
O 2.9213 4.3308 10.6776
O 3.8784 5.2784 4.7523
O 7.0019 9.7120 5.7773
O 0.7875 7.9329 1.7269
O 3.9512 10.0899 9.0648
O 2.1053 2.7735 2.8118
O 1.1592 4.3308 5.1926
O 1.6332 5.6893 2.7084
O 0.1293 10.0899 3.5798
O 5.2398 9.7120 0.2923
O 2.9439 0.0531 0.2310
O 1.1367 0.0531 5.7159
O 3.0570 2.5251 5.7872
O 4.2827 10.6596 6.2176
O 3.2018 10.4740 2.8343
O 1.0235 2.5251 0.3023
O 7.9590 10.6596 0.7326
O 0.2022 5.2784 10.2373
O 8.0318 4.7087 7.3901
O 6.1859 8.1548 2.6731
C 5.0799 1.5062 10.2699
C 7.1618 1.5062 4.7849
C 3.0813 6.8874 0.7000
C 0.9993 6.8874 6.1849
P 0.2520 5.2408 6.0133
P 2.1103 7.0755 7.6203
P 1.9702 7.0755 2.1354
P 3.8286 5.2408 0.5283
P 4.3326 10.6220 10.4416
P 6.1909 1.6943 8.8345
P 6.0508 1.6943 3.3496
P 7.9091 10.6220 4.9566
H 0.3609 1.8273 0.4848
H 6.6684 8.0846 9.8161
H 1.4927 2.7034 1.1537
H 5.1503 5.7597 9.8039
H 7.9803 2.2337 4.6814
H 2.9768 8.7766 3.1720
H 1.1037 8.7766 8.6569
H 1.5590 7.1360 5.2720
H 7.0914 5.7597 4.3190
H 5.6396 1.7547 0.2130
H 3.8997 7.6149 0.8036
H 0.1809 7.6149 6.2885
H 3.0109 0.3784 1.1659
H 5.1843 3.3953 7.7979
H 5.5733 8.0846 4.3312
H 4.2614 2.2337 10.1663
H 6.6021 1.7547 5.6979
H 3.7197 1.8273 5.9698
H 7.8003 7.2085 10.4850
H 7.0574 3.3953 2.3130
H 2.5216 7.1360 10.7569
H 1.0697 0.3784 6.6509
H 2.5879 2.7034 6.6387
H 4.4414 7.2085 5.0001
U 3.0200 3.9892 3.8100
U 7.1005 9.3705 1.6749
U 5.1412 9.3705 7.1599
U 1.0606 3.9892 9.2950
```

Summary:
ρ   3.30 g/cm³
Raw total energy   -6.487 eV/atom
ΔE_f   -1.7709 eV/atom

(7)
This record from the Materials Project describes a relaxed KAlP4O12 crystal. The functional is GGA-PBE.

Structure (extended XYZ):
```
36
Lattice="1.2304 -1.4293 -10.2867 9.9600 -2.7614 -1.5956 -0.6458 -5.1019 -0.1333" Properties=species:S:1:pos:R:3 pbc="T T T"
P 2.8478 -3.6729 -1.2784
P 3.9758 -6.3907 -8.9273
P 6.5688 -2.9019 -3.0883
P 7.6968 -5.6197 -10.7372
P 2.6602 -2.3054 -6.9797
P 7.8844 -6.9871 -5.0359
P 9.8169 -5.9432 -8.6264
P 0.7277 -3.3493 -3.3892
O 3.6297 -5.2590 -10.0432
O 1.4147 -3.7259 -1.9920
O 3.4451 -2.3144 -1.4908
O 1.1477 -1.9638 -3.7781
O 5.8716 -3.4919 -4.2520
O 3.6674 -4.8606 -1.7210
O 9.0557 -3.0364 -5.7359
O 8.0889 -2.4759 -3.4585
O 9.1299 -5.5667 -10.0235
O 6.9149 -4.0335 -1.9724
O 1.4889 -6.2562 -6.2797
O 1.3882 -3.1902 -7.4747
O 3.1015 -1.7148 -8.4238
O 6.8773 -4.4319 -10.2946
O 9.3969 -7.3287 -8.2375
O 9.5535 -4.8403 -7.6301
O 4.6730 -5.8007 -7.7636
O 7.0995 -6.9782 -10.5248
O 6.8286 -6.1296 -5.6175
O 3.7160 -3.1629 -6.3981
O 5.2699 -6.8331 -2.5153
O 5.2747 -2.4594 -9.5003
O 0.9911 -4.4522 -4.3855
O 9.1564 -6.1024 -4.5409
K 4.0690 -5.5138 -4.9321
K 6.4756 -3.7787 -7.0835
Al 0.6152 -0.7146 -5.1433
Al 4.9800 -1.3807 -0.7978
```

Summary:
ρ   2.40 g/cm³
Raw total energy   -7.112 eV/atom
ΔE_f   -2.7985 eV/atom

(8)
This record from the Materials Project describes a relaxed Ca5P12Rh19 crystal. The functional is GGA-PBE.

Structure (extended XYZ):
```
36
Lattice="-11.7808 -1.8543 4.3957 7.9542 -9.8396 -1.2086 1.2796 0.5830 3.6755" Properties=species:S:1:pos:R:3 pbc="T T T"
Ca -5.2025 -4.5161 2.5276
Ca -1.5281 -0.0497 2.6466
Ca -2.4826 -9.2505 4.4383
Ca 1.3759 -7.1778 0.6595
Ca 2.1035 -1.5192 1.6153
P -0.6927 -2.1170 0.5770
P 0.7744 -5.0320 2.6353
P -2.4261 -7.4140 2.0206
P 1.1542 -8.8563 3.1097
P -2.5400 -3.6909 3.5765
P -5.0411 -6.3496 4.8690
P -6.1068 -2.6332 4.6505
P 4.1185 -6.7706 1.7468
P -4.3117 -0.6787 1.6088
P -9.6481 -1.5186 3.5999
P 6.5143 -8.0583 -0.9898
P 2.9112 -3.6012 -0.4423
Rh -6.4359 -1.0130 2.4014
Rh -7.7985 -1.0367 4.9862
Rh -4.0854 -1.8886 3.8286
Rh -2.8777 -2.6251 1.4183
Rh -6.7596 -4.8554 5.2303
Rh 3.0001 -4.7555 1.8165
Rh -2.8429 -5.9297 4.0371
Rh -0.8281 -9.2181 1.7505
Rh 3.3343 -8.9396 2.3639
Rh -0.4459 -3.0263 2.7420
Rh -8.0366 -3.2688 3.3165
Rh -4.6930 -7.6543 2.8480
Rh -0.2873 -6.9638 3.3113
Rh 0.0000 0.0000 0.0000
Rh 4.3454 -5.3754 -0.6602
Rh 0.6877 -4.0677 0.4058
Rh -1.7361 -5.3055 1.4460
Rh 4.2682 -8.2476 -0.1778
Rh 6.3372 -6.7563 0.9721
```

Summary:
ρ   7.62 g/cm³
Raw total energy   -6.898 eV/atom
ΔE_f   -0.9283 eV/atom